Entry 1:
A geometry-optimized LiAc2Ru structure. Source: the Materials Project database, functional r2SCAN.

Unit cell a=5.3473 b=5.3473 c=5.3473 alpha=60.00 beta=60.00 gamma=60.00
Closest atoms and distances in Å follow each position.
Sites, in units of the cell vectors:
Ac: 0.7500 0.7500 0.7500  4 Li 3.27, 4 Ru 3.27
Ac: 0.2500 0.2500 0.2500  4 Li 3.27, 4 Ru 3.27
Ru: 0.5000 0.5000 0.5000  8 Ac 3.27
Li: 0.0000 0.0000 0.0000  8 Ac 3.27

Output
Crystal system: cubic
E, eV per formula unit: -165.093

---

Entry 2:
A geometry-optimized LiAc2Sn structure. Source: the Materials Project database, functional r2SCAN.

Unit cell a=5.7442 b=5.7442 c=5.7442 alpha=60.00 beta=60.00 gamma=60.00
Closest atoms and distances in Å follow each position.
Sites, in units of the cell vectors:
Ac: 0.7500 0.7500 0.7500  4 Sn 3.52, 4 Li 3.52
Ac: 0.2500 0.2500 0.2500  4 Sn 3.52, 4 Li 3.52
Li: 0.5000 0.5000 0.5000  8 Ac 3.52
Sn: 0.0000 0.0000 0.0000  8 Ac 3.52

Output
Crystal system: cubic
E, eV per formula unit: -166.075

---

Entry 3:
A geometry-optimized LiAcTe2 structure. Source: the Materials Project database, functional r2SCAN.

Unit cell a=5.6044 b=5.6044 c=5.6044 alpha=60.00 beta=60.00 gamma=60.00
Closest atoms and distances in Å follow each position.
Sites, in units of the cell vectors:
Ac: 0.2500 0.2500 0.2500  8 Te 3.43
Te: 0.0000 0.0000 0.0000  4 Li 3.43, 4 Ac 3.43
Te: 0.5000 0.5000 0.5000  4 Ac 3.43, 4 Li 3.43
Li: 0.7500 0.7500 0.7500  8 Te 3.43

Output
Crystal system: cubic
E, eV per formula unit: -127.608

---

Entry 4:
A geometry-optimized AcMg5 structure. Source: the Materials Project database, functional r2SCAN.

Unit cell a=4.9680 b=6.1702 c=6.1702 alpha=60.00 beta=90.00 gamma=90.00
Closest atoms and distances in Å follow each position.
Sites, in units of the cell vectors:
Mg: 0.0000 0.6667 0.8334  8 Mg 3.06-3.09
Mg: 0.5000 0.3333 0.0000  6 Mg 3.06
Mg: 0.0000 0.1668 0.8332  8 Mg 3.06-3.09
Mg: 0.0000 0.1666 0.3333  8 Mg 3.06-3.09
Mg: 0.5000 0.0000 0.6667  6 Mg 3.06
Ac: 0.5000 0.6667 0.3333  18 Mg 3.56-3.96

Output
Crystal system: hexagonal
E, eV per formula unit: -90.009

---

Entry 5:
A geometry-optimized AcMg5 structure. Source: the Materials Project database, functional r2SCAN.

Unit cell a=6.1687 b=6.1687 c=4.9700 alpha=90.00 beta=90.00 gamma=120.00
Closest atoms and distances in Å follow each position.
Sites, in units of the cell vectors:
Mg: 0.5083 0.0000 0.0000  8 Mg 3.06-3.09
Mg: 0.6667 0.3333 0.5000  6 Mg 3.06
Mg: 0.3333 0.6667 0.5000  6 Mg 3.06
Mg: 0.0000 0.5083 0.0000  8 Mg 3.06-3.09
Mg: 0.4917 0.4917 0.0000  8 Mg 3.06-3.09
Ac: 0.0000 0.0000 0.5000  12 Mg 3.56-3.92

Output
Crystal system: hexagonal
E, eV per formula unit: -90.000

---

Entry 6:
A geometry-optimized Ac2MgPb structure. Source: the Materials Project database, functional r2SCAN.

Unit cell a=5.8489 b=5.8489 c=5.8489 alpha=60.00 beta=60.00 gamma=60.00
Closest atoms and distances in Å follow each position.
Sites, in units of the cell vectors:
Pb: 0.0000 0.0000 0.0000  8 Ac 3.58
Mg: 0.5000 0.5000 0.5000  8 Ac 3.58
Ac: 0.7500 0.7500 0.7500  4 Pb 3.58, 4 Mg 3.58
Ac: 0.2500 0.2500 0.2500  4 Pb 3.58, 4 Mg 3.58

Output
Crystal system: cubic
E, eV per formula unit: -199.162